Entry 1:
A relaxed TaMo2C3 crystal, computed with PBE-GGA.

Properties
total magnetic moment: 0.0 μB per formula unit
volume: 10.78 Å³ per atom

a b c (Å): 3.1166 3.1166 7.6863
angles (deg): 90.00 90.00 120.00
Last column: nearest neighbours and their distance in Å.
Space group P-3m1 (No. 164)
Unique sites:
Ta: 0.0000 0.0000 0.0000 (multiplicity 1)  6 C 2.21
Mo: 0.3333 0.6667 0.6692 (multiplicity 2)  6 C 2.19-2.22
C: 0.0000 0.0000 0.5000 (multiplicity 1)  6 Mo 2.22
C: 0.3333 0.6667 0.1679 (multiplicity 2)  3 Mo 2.19, 3 Ta 2.21

Entry 2:
A relaxed Tb2Mo2C3 crystal, computed with PBE-GGA.

Properties
volume: 15.07 Å³ per atom

a b c (Å): 11.8500 3.3613 5.7516
angles (deg): 90.00 112.96 90.00
Last column: nearest neighbours and their distance in Å.
Space group C2/m (No. 12)
Unique sites:
Tb: 0.1096 0.0000 0.3227 (multiplicity 4)  5 C 2.45-2.57
Mo: 0.1578 0.5000 0.8251 (multiplicity 4)  4 C 2.07-2.16
C: 0.0000 0.5000 0.5000 (multiplicity 2)  2 Mo 2.07
C: 0.2488 0.5000 0.2323 (multiplicity 4)  3 Mo 2.11-2.16

Entry 3:
A relaxed TiMoC2 crystal, computed with PBE-GGA.

Properties
total magnetic moment: 0.0 μB per formula unit
volume: 10.28 Å³ per atom

a b c (Å): 3.0642 3.0642 15.1701
angles (deg): 90.00 90.00 120.00
Last column: nearest neighbours and their distance in Å.
Space group R-3m (No. 166, hexagonal axes)
Unique sites:
Ti: 0.0000 0.0000 0.0000 (multiplicity 3)  6 C 2.16
Mo: 0.0000 0.0000 0.5000 (multiplicity 3)  6 C 2.19
C: 0.0000 0.0000 0.2515 (multiplicity 6)  3 Ti 2.16, 3 Mo 2.19

no.,energy relative to the elements (eV per atom),raw total energy (eV/atom)
1,-0.0507,-10.256
2,-0.3348,-8.713
3,-0.3988,-9.698